(1)
Ce2Mn3Al | PBE | relaxed

Cell: 5.3851 5.3851 8.4517 Å, 90.00 90.00 120.00°
Space group P6_3/mmc (No. 194)
Inequivalent atoms, fractional coordinates:
Ce1 0.3333 0.6667 0.0710 [4 per cell]
Mn1 0.1709 0.3418 0.7500 [6 per cell]
Al1 0.0000 0.0000 0.0000 [2 per cell]

Output
The value obtained for the formation energy is -60 meV/atom. For the volume, the calculation gives 17.7 A^3/atom. The total energy is -7.2434 eV/atom. The total magnetic moment is 5.8 μB per formula unit.

=====

(2)
La5Pb3O | PBE | relaxed

Cell: 8.806 8.806 14.701 Å, 90.00 90.00 90.00°
Space group I4cm (No. 108)
Inequivalent atoms, fractional coordinates:
La1 0.000 0.000 0.000 [4 per cell]
La2 0.151 0.349 0.141 [8 per cell]
La3 0.151 0.349 0.839 [8 per cell]
Pb1 0.000 0.000 0.241 [4 per cell]
Pb2 0.145 0.355 0.490 [8 per cell]
O1 0.000 0.500 0.240 [4 per cell]

Output
The value obtained for the formation energy is -1233 meV/atom. For the volume, the calculation gives 31.7 A^3/atom. The total energy is -5.6864 eV/atom. The total magnetic moment is 0.6 μB per formula unit.

=====

(3)
K7H12Pt4C16N16O6 | PBE | relaxed

Cell: 9.814 10.292 11.056 Å, 102.00 109.15 106.40°
Space group P1 (No. 1)
Inequivalent atoms, fractional coordinates:
K1 0.000 0.000 0.000 [1 per cell]
K2 0.002 0.846 0.607 [1 per cell]
K3 0.023 0.155 0.401 [1 per cell]
K4 0.287 0.570 0.679 [1 per cell]
K5 0.378 0.267 0.867 [1 per cell]
K6 0.642 0.731 0.143 [1 per cell]
K7 0.736 0.431 0.330 [1 per cell]
H1 0.264 0.403 0.370 [1 per cell]
H2 0.283 0.840 0.881 [1 per cell]
H3 0.356 0.080 0.067 [1 per cell]
H4 0.361 0.217 0.159 [1 per cell]
H5 0.386 0.376 0.481 [1 per cell]
H6 0.395 0.925 0.830 [1 per cell]
H7 0.628 0.075 0.178 [1 per cell]
H8 0.637 0.624 0.527 [1 per cell]
H9 0.649 0.778 0.846 [1 per cell]
H10 0.651 0.913 0.939 [1 per cell]
H11 0.738 0.162 0.126 [1 per cell]
H12 0.759 0.596 0.639 [1 per cell]
Pt1 0.012 0.501 0.004 [1 per cell]
Pt2 0.248 0.745 0.262 [1 per cell]
Pt3 0.512 0.000 0.504 [1 per cell]
Pt4 0.775 0.257 0.746 [1 per cell]
C1 0.053 0.284 0.166 [1 per cell]
C2 0.075 0.631 0.436 [1 per cell]
C3 0.100 0.847 0.239 [1 per cell]
C4 0.192 0.501 0.955 [1 per cell]
C5 0.348 0.037 0.561 [1 per cell]
C6 0.390 0.635 0.281 [1 per cell]
C7 0.419 0.911 0.111 [1 per cell]
C8 0.475 0.230 0.358 [1 per cell]
C9 0.548 0.770 0.649 [1 per cell]
C10 0.606 0.090 0.898 [1 per cell]
C11 0.632 0.366 0.728 [1 per cell]
C12 0.675 0.964 0.447 [1 per cell]
C13 0.832 0.500 0.053 [1 per cell]
C14 0.924 0.156 0.767 [1 per cell]
C15 0.948 0.370 0.572 [1 per cell]
C16 0.975 0.721 0.846 [1 per cell]
N1 0.007 0.899 0.227 [1 per cell]
N2 0.017 0.104 0.777 [1 per cell]
N3 0.040 0.364 0.104 [1 per cell]
N4 0.148 0.663 0.373 [1 per cell]
N5 0.252 0.064 0.590 [1 per cell]
N6 0.298 0.507 0.928 [1 per cell]
N7 0.349 0.841 0.158 [1 per cell]
N8 0.476 0.575 0.285 [1 per cell]
N9 0.494 0.145 0.412 [1 per cell]
N10 0.530 0.856 0.597 [1 per cell]
N11 0.547 0.426 0.725 [1 per cell]
N12 0.676 0.160 0.850 [1 per cell]
N13 0.725 0.493 0.081 [1 per cell]
N14 0.772 0.937 0.419 [1 per cell]
N15 0.875 0.339 0.635 [1 per cell]
N16 0.985 0.639 0.905 [1 per cell]
O1 0.292 0.398 0.461 [1 per cell]
O2 0.292 0.847 0.798 [1 per cell]
O3 0.317 0.158 0.063 [1 per cell]
O4 0.690 0.835 0.943 [1 per cell]
O5 0.731 0.153 0.211 [1 per cell]
O6 0.733 0.604 0.549 [1 per cell]

Output
The value obtained for the formation energy is -318 meV/atom. For the volume, the calculation gives 15.7 A^3/atom. The total energy is -6.5370 eV/atom. The total magnetic moment is 0.0 μB per formula unit.